18
Lattice="3.908 -7.548 0.000 3.908 7.548 0.000 0.000 0.000 7.840" Properties=species:S:1:pos:R:3 comment="Ho5Si2Sb2 (PBE, optimized geometry)" spacegroup=Cmce formation_energy_ev_per_atom=-0.954 pbc="T T T"
Si 2.867 0.000 1.036
Si 1.041 0.000 4.956
Si 4.949 0.000 6.804
Si 6.776 0.000 2.884
Sb 3.908 -4.444 0.000
Sb 3.908 4.444 0.000
Sb 3.908 -3.104 3.920
Sb 3.908 3.104 3.920
Ho 1.292 -1.896 2.630
Ho 2.616 1.896 6.550
Ho 6.524 -1.896 5.210
Ho 6.524 1.896 5.210
Ho 5.200 -1.896 1.290
Ho 5.200 1.896 1.290
Ho 0.000 0.000 0.000
Ho 1.292 1.896 2.630
Ho 3.908 0.000 3.920
Ho 2.616 -1.896 6.550

18
Lattice="5.870 0.012 -1.719 1.920 -5.225 6.529 -0.230 -9.033 -0.852" Properties=species:S:1:pos:R:3 comment="HoScSi (PBE, optimized geometry)" spacegroup=Amm2 formation_energy_ev_per_atom=-0.416 magmom_total_mub_per_cell=0.026 pbc="T T T"
Sc 0.521 -4.766 1.719
Sc 1.182 -9.553 3.949
Sc 4.871 -10.877 0.229
Sc 5.543 -6.556 2.571
Sc 4.102 -9.547 3.093
Sc 3.441 -4.759 0.864
Ho 2.841 -6.174 4.228
Ho 3.214 -12.016 5.458
Ho 4.332 -2.767 -1.550
Ho 4.761 -7.772 -0.122
Ho 5.576 -12.612 2.641
Ho 1.726 -10.341 0.377
Si 5.179 -5.423 5.553
Si 3.293 -8.914 5.751
Si 7.455 -5.419 4.887
Si 4.260 -5.575 -1.815
Si 2.113 -7.380 1.721
Si 2.379 -12.030 2.609

4
Lattice="0.000 3.475 3.475 3.475 0.000 3.475 3.475 3.475 0.000" Properties=species:S:1:pos:R:3 comment="HoScZn2 (PBE, optimized geometry)" spacegroup=Fm-3m formation_energy_ev_per_atom=-0.355 pbc="T T T"
Sc 0.000 0.000 0.000
Zn 1.738 1.738 1.738
Zn 5.213 5.213 5.213
Ho 3.475 3.475 3.475

2
Lattice="0.000 2.867 2.867 2.867 0.000 2.867 2.867 2.867 0.000" Properties=species:S:1:pos:R:3 comment="HoSe (PBE, optimized geometry)" spacegroup=Fm-3m formation_energy_ev_per_atom=-1.952 pbc="T T T"
Se 2.867 2.867 2.867
Ho 0.000 0.000 0.000

36
Lattice="-2.387 -6.455 2.679 6.322 -3.437 -2.647 6.734 2.718 12.551" Properties=species:S:1:pos:R:3 comment="Ho5Si4 (PBE, optimized geometry)" spacegroup=Pnma formation_energy_ev_per_atom=-0.714 pbc="T T T"
Ho 5.552 -8.006 5.493
Ho 5.116 0.832 7.089
Ho 9.769 -1.119 9.690
Ho 6.829 -2.034 11.891
Ho 3.839 -5.140 0.691
Ho 4.564 -2.054 2.184
Ho 4.295 -0.260 10.316
Ho 1.202 -2.343 1.926
Ho 3.502 -8.833 1.672
Ho 0.900 -6.055 2.892
Ho 7.758 -5.520 7.473
Ho 6.373 -6.914 2.266
Ho 5.890 -4.312 4.513
Ho 2.607 -5.366 6.076
Ho 4.779 -2.862 8.070
Ho 2.910 -1.654 5.109
Ho 8.061 -1.808 6.507
Ho 7.166 1.659 10.911
Ho 9.466 -4.831 10.656
Ho 6.105 -5.120 10.398
Si 7.775 -4.706 12.934
Si 6.552 -4.053 1.550
Si 3.819 -6.443 3.534
Si 2.893 -2.468 -0.351
Si 7.725 -3.115 9.094
Si 1.733 -3.032 7.436
Si 5.725 -1.325 4.925
Si -1.098 -4.175 2.160
Si 2.943 -4.059 3.488
Si 4.943 -5.849 7.657
Si 8.935 -4.142 5.146
Si 11.766 -2.999 10.422
Si 4.116 -3.121 11.032
Si 8.387 -7.351 9.657
Si 2.282 0.177 2.926
Si 6.849 -0.731 9.048

5
Lattice="-3.965 0.253 0.010 0.057 1.043 -3.738 -2.377 -5.914 -3.701" Properties=species:S:1:pos:R:3 comment="Ho2Si3 (PBE, optimized geometry)" spacegroup=Imm2 formation_energy_ev_per_atom=-0.564 magmom_total_mub_per_cell=0.001 pbc="T T T"
Si -3.205 -3.327 -2.992
Si -2.947 0.759 -3.864
Si -3.091 -1.479 -4.490
Ho -1.074 -1.151 -2.353
Ho -5.218 -3.595 -5.113